Entry 1:
A plane-wave DFT calculation with GGA-PBE was carried out for a geometry-optimized Tb3Co4Ge13 structure.

a = 8.782 Å, b = 8.782 Å, c = 8.782 Å
α = 90.00°, β = 90.00°, γ = 90.00°
Fractional coordinates of all 40 atoms:
Tb1 0.000 0.250 0.500
Tb2 0.000 0.750 0.500
Tb3 0.250 0.500 0.000
Tb4 0.500 0.000 0.250
Tb5 0.500 0.000 0.750
Tb6 0.750 0.500 0.000
Co1 0.250 0.250 0.250
Co2 0.250 0.250 0.750
Co3 0.250 0.750 0.250
Co4 0.250 0.750 0.750
Co5 0.750 0.250 0.250
Co6 0.750 0.250 0.750
Co7 0.750 0.750 0.250
Co8 0.750 0.750 0.750
Ge1 0.000 0.000 0.000
Ge2 0.000 0.305 0.153
Ge3 0.000 0.305 0.847
Ge4 0.000 0.695 0.153
Ge5 0.000 0.695 0.847
Ge6 0.153 0.000 0.305
Ge7 0.153 0.000 0.695
Ge8 0.195 0.500 0.347
Ge9 0.195 0.500 0.653
Ge10 0.305 0.153 0.000
Ge11 0.305 0.847 0.000
Ge12 0.347 0.195 0.500
Ge13 0.347 0.805 0.500
Ge14 0.500 0.347 0.195
Ge15 0.500 0.347 0.805
Ge16 0.500 0.500 0.500
Ge17 0.500 0.653 0.195
Ge18 0.500 0.653 0.805
Ge19 0.653 0.195 0.500
Ge20 0.653 0.805 0.500
Ge21 0.695 0.153 0.000
Ge22 0.695 0.847 0.000
Ge23 0.805 0.500 0.347
Ge24 0.805 0.500 0.653
Ge25 0.847 0.000 0.305
Ge26 0.847 0.000 0.695

Values from the calculation:
final energy	-5.54	eV/atom
ΔE_f	-9.6	kcal/mol of atoms
size of the total moment	0.00	μB/cell
mass density	8.1	g/cm³
symmetry	Pm-3n, No. 223

Entry 2:
A plane-wave DFT calculation with GGA-PBE was carried out for a geometry-optimized UH2O4 structure.

a = 5.491 Å, b = 5.318 Å, c = 6.108 Å
α = 90.00°, β = 109.19°, γ = 90.00°
Fractional coordinates of all 14 atoms:
U1 0.000 0.000 0.000
U2 0.000 0.500 0.500
H1 0.472 0.193 0.859
H2 0.472 0.307 0.359
H3 0.528 0.693 0.641
H4 0.528 0.807 0.141
O1 0.145 0.217 0.805
O2 0.145 0.283 0.305
O3 0.341 0.683 0.627
O4 0.341 0.817 0.127
O5 0.659 0.183 0.873
O6 0.659 0.317 0.373
O7 0.855 0.717 0.695
O8 0.855 0.783 0.195

Values from the calculation:
energy with MP2020 corrections	-110.6	eV for the cell shown
final energy	-7.51	eV/atom
ΔE_f	-57.4	kcal/mol of atoms
size of the total moment	0.00	μB/cell
mass density	6.0	g/cm³
symmetry	P2_1/c, No. 14

Q: size of the total moment of number 2 (UH2O4)?
A: 0.00 μB/cell

Q: What is the mass density in the first record?
A: 8.1 g/cm³